1.
Compound: LiY3WO8
Source: Materials Project
Functional: GGA+U
Structure: relaxed

Structure (POSCAR):
```
LiY3WO8
1.0
2.880 -5.594 0.000
2.880 5.594 0.000
0.000 0.000 6.152
Li Y W O
1 3 1 8
direct
0.500 0.500 0.000 Li
0.500 0.000 0.742 Y
0.000 0.500 0.258 Y
0.500 0.500 0.500 Y
0.000 0.000 0.000 W
0.824 0.176 0.000 O
0.696 0.304 0.500 O
0.275 0.218 0.786 O
0.218 0.275 0.214 O
0.782 0.725 0.214 O
0.725 0.782 0.786 O
0.304 0.696 0.500 O
0.176 0.824 0.000 O
```

The maximum piezoelectric response comes out at 0.8 C/m². The calculation puts the energy above the lowest structure with this stoichiometry at 21 meV/atom. The symmetry is C222 (21). As for the formation energy: -3228 meV/atom. The raw total energy comes out at -105.88 eV/cell.


2.
Compound: Ca3Mn2Ge3O12
Source: Materials Project
Functional: GGA+U
Structure: relaxed

Structure (POSCAR):
```
Ca3Mn2Ge3O12
1.0
-6.234 6.234 6.252
6.234 -6.234 6.252
6.234 6.234 -6.252
Ca Mn Ge O
12 8 12 48
direct
0.499 0.877 0.127 Ca
0.251 0.373 0.373 Ca
0.498 0.998 0.500 Ca
0.748 0.748 0.000 Ca
0.002 0.502 0.500 Ca
0.000 0.878 0.627 Ca
0.627 0.000 0.877 Ca
0.122 0.749 0.123 Ca
0.123 0.250 0.623 Ca
0.750 0.372 0.873 Ca
0.252 0.252 0.000 Ca
0.628 0.501 0.377 Ca
0.375 0.625 0.250 Mn
0.875 0.125 0.250 Mn
0.875 0.625 0.250 Mn
0.375 0.125 0.750 Mn
0.375 0.625 0.750 Mn
0.875 0.125 0.750 Mn
0.875 0.625 0.750 Mn
0.375 0.125 0.250 Mn
0.743 0.871 0.378 Ge
0.621 0.743 0.628 Ge
0.007 0.379 0.122 Ge
0.000 0.000 0.000 Ge
0.500 0.500 0.000 Ge
0.493 0.366 0.622 Ge
0.750 0.250 0.500 Ge
0.129 0.507 0.872 Ge
0.250 0.750 0.500 Ge
0.257 0.884 0.878 Ge
0.634 0.257 0.128 Ge
0.116 0.993 0.372 Ge
0.067 0.135 0.359 O
0.594 0.213 0.942 O
0.787 0.728 0.380 O
0.272 0.652 0.058 O
0.749 0.914 0.235 O
0.292 0.933 0.068 O
0.690 0.541 0.051 O
0.459 0.510 0.149 O
0.260 0.611 0.551 O
0.291 0.740 0.351 O
0.261 0.033 0.835 O
0.189 0.145 0.149 O
0.974 0.542 0.859 O
0.490 0.639 0.949 O
0.790 0.439 0.544 O
0.963 0.522 0.120 O
0.071 0.736 0.735 O
0.561 0.105 0.351 O
0.086 0.321 0.835 O
0.895 0.246 0.456 O
0.060 0.709 0.449 O
0.967 0.802 0.228 O
0.458 0.317 0.432 O
0.960 0.811 0.956 O
0.683 0.115 0.141 O
0.489 0.217 0.665 O
0.176 0.511 0.728 O
0.389 0.940 0.649 O
0.402 0.844 0.880 O
0.996 0.040 0.851 O
0.664 0.929 0.665 O
0.783 0.448 0.272 O
0.552 0.824 0.335 O
0.264 0.999 0.335 O
0.885 0.026 0.568 O
0.865 0.224 0.932 O
0.776 0.708 0.641 O
0.156 0.037 0.558 O
0.855 0.004 0.044 O
0.486 0.251 0.165 O
0.001 0.336 0.265 O
0.361 0.310 0.851 O
0.348 0.406 0.620 O
0.198 0.426 0.165 O
0.754 0.210 0.649 O
0.679 0.514 0.765 O
0.478 0.598 0.442 O
0.574 0.739 0.772 O
```

The symmetry is I4_1/a (88). As for the formation energy: -2585 meV/atom. The raw total energy comes out at -550.81 eV/cell.


3.
Compound: Nb4VO12
Source: Materials Project
Functional: GGA+U
Structure: relaxed

Structure (POSCAR):
```
Nb4VO12
1.0
7.219 0.668 2.450
0.958 5.719 7.148
-0.739 -7.374 2.078
Nb V O
8 2 24
direct
0.018 0.981 0.005 Nb
0.518 0.981 0.505 Nb
0.254 0.510 0.238 Nb
0.754 0.510 0.738 Nb
0.742 0.500 0.249 Nb
0.242 0.500 0.749 Nb
0.020 0.982 0.496 Nb
0.520 0.982 0.996 Nb
0.551 0.281 0.434 V
0.051 0.281 0.934 V
0.550 0.423 0.711 O
0.050 0.423 0.211 O
0.207 0.728 0.902 O
0.707 0.728 0.402 O
0.056 0.038 0.257 O
0.556 0.038 0.757 O
0.233 0.406 0.935 O
0.733 0.406 0.435 O
0.297 0.942 0.507 O
0.797 0.942 0.007 O
0.089 0.740 0.306 O
0.589 0.740 0.806 O
0.982 0.240 0.693 O
0.482 0.240 0.193 O
0.740 0.075 0.452 O
0.240 0.075 0.952 O
0.807 0.515 0.988 O
0.307 0.515 0.488 O
0.003 0.934 0.701 O
0.503 0.934 0.201 O
0.872 0.232 0.035 O
0.372 0.232 0.535 O
0.491 0.533 0.181 O
0.991 0.533 0.681 O
```

As for the formation energy: -2885 meV/atom. The raw total energy comes out at -295.94 eV/cell.


4.
Compound: GdMn2O5
Source: Materials Project
Functional: GGA+U
Structure: relaxed

Structure (POSCAR):
```
GdMn2O5
1.0
5.803 0.000 0.000
0.000 7.445 0.000
0.000 0.000 8.632
Gd Mn O
4 8 20
direct
0.000 0.860 0.829 Gd
0.000 0.140 0.171 Gd
0.000 0.360 0.671 Gd
0.000 0.640 0.329 Gd
0.745 0.000 0.500 Mn
0.500 0.589 0.650 Mn
0.500 0.411 0.350 Mn
0.500 0.911 0.150 Mn
0.500 0.089 0.850 Mn
0.255 0.500 0.000 Mn
0.745 0.500 0.000 Mn
0.255 0.000 0.500 Mn
0.000 0.338 0.945 O
0.728 0.000 0.000 O
0.272 0.000 0.000 O
0.500 0.152 0.435 O
0.000 0.162 0.445 O
0.728 0.500 0.500 O
0.000 0.838 0.555 O
0.757 0.603 0.793 O
0.243 0.103 0.707 O
0.500 0.652 0.065 O
0.500 0.348 0.935 O
0.000 0.662 0.055 O
0.757 0.897 0.293 O
0.757 0.397 0.207 O
0.757 0.103 0.707 O
0.243 0.603 0.793 O
0.272 0.500 0.500 O
0.243 0.897 0.293 O
0.243 0.397 0.207 O
0.500 0.848 0.565 O
```

The symmetry is Pbam (55). As for the formation energy: -2624 meV/atom. The raw total energy comes out at -285.45 eV/cell.


5.
Compound: Li3Mn4P8O28
Source: Materials Project
Functional: GGA+U
Structure: relaxed

Structure (POSCAR):
```
Li3Mn4P8O28
1.0
-8.599 -4.460 0.193
4.351 -8.637 0.095
1.895 1.091 10.834
Li Mn P O
6 8 16 56
direct
0.091 0.103 0.022 Li
0.417 0.596 0.977 Li
0.391 0.207 0.545 Li
0.907 0.895 0.979 Li
0.836 0.581 0.461 Li
0.890 0.283 0.551 Li
0.195 0.921 0.663 Mn
0.275 0.220 0.836 Mn
0.228 0.714 0.167 Mn
0.304 0.430 0.333 Mn
0.696 0.580 0.674 Mn
0.756 0.293 0.831 Mn
0.720 0.774 0.167 Mn
0.807 0.073 0.333 Mn
0.024 0.441 0.753 P
0.118 0.709 0.883 P
0.062 0.930 0.243 P
0.132 0.153 0.428 P
0.374 0.649 0.575 P
0.430 0.425 0.758 P
0.532 0.063 0.757 P
0.387 0.214 0.117 P
0.613 0.791 0.885 P
0.466 0.937 0.248 P
0.564 0.569 0.243 P
0.629 0.347 0.423 P
0.873 0.857 0.568 P
0.938 0.068 0.758 P
0.881 0.288 0.117 P
0.970 0.561 0.242 P
0.019 0.418 0.619 O
0.032 0.853 0.559 O
0.089 0.072 0.723 O
0.108 0.335 0.841 O
0.099 0.586 0.784 O
0.186 0.824 0.813 O
0.228 0.657 0.996 O
0.022 0.253 0.091 O
0.130 0.070 0.302 O
0.061 0.938 0.107 O
0.121 0.553 0.205 O
0.200 0.291 0.408 O
0.158 0.809 0.298 O
0.224 0.073 0.533 O
0.291 0.570 0.467 O
0.337 0.306 0.694 O
0.319 0.794 0.599 O
0.381 0.056 0.793 O
0.364 0.566 0.699 O
0.415 0.424 0.891 O
0.473 0.760 0.914 O
0.274 0.164 0.003 O
0.318 0.330 0.187 O
0.399 0.089 0.215 O
0.413 0.579 0.273 O
0.373 0.839 0.156 O
0.534 0.093 0.626 O
0.478 0.337 0.444 O
0.534 0.651 0.571 O
0.469 0.913 0.380 O
0.624 0.160 0.851 O
0.583 0.416 0.730 O
0.601 0.912 0.786 O
0.685 0.673 0.820 O
0.720 0.840 0.000 O
0.523 0.243 0.083 O
0.571 0.585 0.109 O
0.625 0.422 0.293 O
0.616 0.937 0.208 O
0.698 0.206 0.409 O
0.670 0.677 0.310 O
0.725 0.434 0.522 O
0.785 0.941 0.464 O
0.848 0.193 0.702 O
0.818 0.712 0.586 O
0.867 0.455 0.784 O
0.939 0.058 0.892 O
0.865 0.932 0.696 O
0.981 0.743 0.917 O
0.779 0.340 0.001 O
0.813 0.174 0.187 O
0.898 0.414 0.214 O
0.880 0.664 0.152 O
0.912 0.923 0.275 O
0.976 0.167 0.441 O
0.975 0.587 0.375 O
```

The calculation puts the energy above the lowest structure with this stoichiometry at 9 meV/atom. The symmetry is P1 (1). As for the formation energy: -2441 meV/atom. The raw total energy comes out at -606.58 eV/cell.


6.
Compound: MgFe3Co5O16
Source: Materials Project
Functional: GGA+U
Structure: relaxed

Structure (POSCAR):
```
MgFe3Co5O16
1.0
5.732 -0.019 -0.123
-2.883 5.011 0.007
-0.127 -0.067 9.242
Mg Fe Co O
1 3 5 16
direct
0.663 0.332 0.961 Mg
0.660 0.829 0.185 Fe
0.841 0.674 0.687 Fe
0.847 0.174 0.686 Fe
0.153 0.829 0.194 Co
0.335 0.669 0.471 Co
0.153 0.323 0.195 Co
0.350 0.178 0.672 Co
0.650 0.324 0.362 Co
0.180 0.836 0.568 O
0.032 0.516 0.320 O
0.305 0.652 0.091 O
0.002 0.999 0.300 O
0.042 0.020 0.784 O
0.176 0.335 0.567 O
0.468 0.957 0.327 O
0.468 0.512 0.326 O
0.312 0.156 0.105 O
0.674 0.837 0.569 O
0.518 0.477 0.792 O
0.524 0.044 0.790 O
0.666 0.336 0.561 O
0.837 0.666 0.091 O
0.973 0.488 0.801 O
0.836 0.172 0.093 O
```

The calculation puts the energy above the lowest structure with this stoichiometry at 34 meV/atom. The symmetry is P1 (1). As for the formation energy: -1259 meV/atom. The raw total energy comes out at -147.24 eV/cell.